Entry 1:
Entry from Materials Project: crystalline LiCuCO3 at its relaxed geometry (PBE-GGA).

Calculated values
space group: P-6, No. 174
corrected total energy (MP2020 scheme): -119.68 eV/cell
crystal system: hexagonal
formation energy from the elements: -1635.3 meV per atom
V: 10.12 Å³/atom
spin magnetization: 0.00 μB/f.u.

a b c (Å): 8.2970 8.2970 3.0543
angles (deg): 90.00 90.00 120.00
With the nearest neighbours (Å) after each atom.
Positions (direct):
O  0.4423  0.8457  0.0000  1 C 1.30
O  0.8184  0.9094  0.5000  1 C 1.30
O  0.4895  0.2778  0.0000  1 C 1.30
O  0.7883  0.5105  0.0000  1 C 1.30
O  0.0906  0.9090  0.5000  1 C 1.30
O  0.0910  0.1816  0.5000  1 C 1.30
O  0.7222  0.2117  0.0000  1 C 1.30
O  0.1543  0.5966  0.0000  1 C 1.30
O  0.4034  0.5577  0.0000  1 C 1.30
Li  0.6375  0.0055  0.5000  5 O 2.02-2.14
Li  0.9945  0.6320  0.5000  5 O 2.02-2.14
Li  0.3680  0.3625  0.5000  5 O 2.02-2.14
C  0.3333  0.6667  0.0000  3 O 1.30
C  0.6667  0.3333  0.0000  3 O 1.30
C  0.0000  0.0000  0.5000  3 O 1.30
Cu  0.3117  0.9991  0.0000  4 O 2.03-2.21
Cu  0.0009  0.3126  0.0000  4 O 2.03-2.21
Cu  0.6874  0.6883  0.0000  4 O 2.03-2.21

***

Entry 2:
Entry from Materials Project: crystalline Si at its relaxed geometry (PBE-GGA).

Calculated values
space group: I4/mmm, No. 139
crystal system: tetragonal
formation energy from the elements: 484.1 meV per atom
V: 14.48 Å³/atom
spin magnetization: 0.00 μB/f.u.

a b c (Å): 2.5753 2.6983 2.6983
angles (deg): 76.84 61.50 61.50
With the nearest neighbours (Å) after each atom.
Positions (direct):
Si  0.0000  0.0000  0.0000  10 Si 2.58-2.70

***

Entry 3:
Entry from Materials Project: crystalline Na6S2ClO8F at its relaxed geometry (PBE-GGA).

Calculated values
space group: Fm-3m, No. 225
corrected total energy (MP2020 scheme): -100.17 eV/cell
crystal system: cubic
formation energy from the elements: -2256.5 meV per atom
V: 14.72 Å³/atom

a b c (Å): 7.2101 7.2101 7.2101
angles (deg): 60.00 60.00 60.00
With the nearest neighbours (Å) after each atom.
Positions (direct):
S  0.7500  0.7500  0.7500  4 O 1.49
S  0.2500  0.2500  0.2500  4 O 1.49
Na  0.7770  0.7770  0.2230  1 F 2.27, 4 O 2.46
Na  0.2230  0.7770  0.2230  1 F 2.27, 4 O 2.46
Na  0.7770  0.2230  0.2230  1 F 2.27, 4 O 2.46
Na  0.2230  0.7770  0.7770  1 F 2.27, 4 O 2.46
Na  0.2230  0.2230  0.7770  1 F 2.27, 4 O 2.46
Na  0.7770  0.2230  0.7770  1 F 2.27, 4 O 2.46
O  0.1654  0.1654  0.1654  1 S 1.49
O  0.8346  0.4961  0.8346  1 S 1.49
O  0.1654  0.1654  0.5039  1 S 1.49
O  0.4961  0.8346  0.8346  1 S 1.49
O  0.1654  0.5039  0.1654  1 S 1.49
O  0.5039  0.1654  0.1654  1 S 1.49
O  0.8346  0.8346  0.4961  1 S 1.49
O  0.8346  0.8346  0.8346  1 S 1.49
Cl  0.5000  0.5000  0.5000  6 Na 2.82
F  0.0000  0.0000  0.0000  6 Na 2.27

***

Entry 4:
Entry from Materials Project: crystalline Na6Y4Ti4Si5S7O48 at its relaxed geometry (PBE-GGA).

Calculated values
space group: P1, No. 1
corrected total energy (MP2020 scheme): -1691.45 eV/cell
crystal system: triclinic
formation energy from the elements: -2768.2 meV per atom
V: 14.69 Å³/atom
spin magnetization: 0.00 μB/f.u.

a b c (Å): 18.0624 8.9979 23.1511
angles (deg): 90.00 89.80 119.92
With the nearest neighbours (Å) after each atom.
Positions (direct):
S  0.4972  0.7088  0.7458  4 O 1.47-1.50
S  0.8164  0.6737  0.9196  4 O 1.47-1.50
S  0.5209  0.6698  0.4159  4 O 1.48-1.50
S  0.3091  0.6534  0.9224  4 O 1.48-1.49
S  0.8597  0.7147  0.2439  4 O 1.46-1.49
S  0.4824  0.6342  0.0806  4 O 1.47-1.51
S  0.3571  0.0042  0.7444  4 O 1.45-1.50
S  0.1698  0.3731  0.4193  4 O 1.45-1.51
S  0.3297  0.0294  0.0802  4 O 1.47-1.50
S  0.9910  0.6450  0.0870  4 O 1.47-1.50
S  0.1398  0.9991  0.2477  4 O 1.47-1.50
S  0.9994  0.2871  0.2452  4 O 1.47-1.50
S  0.3174  0.9632  0.4188  4 O 1.47-1.49
S  0.6678  0.9578  0.9197  4 O 1.46-1.51
S  0.1401  0.2737  0.7526  4 O 1.48-1.49
S  0.9812  0.3311  0.5804  4 O 1.47-1.52
S  0.8301  0.6308  0.5792  4 O 1.46-1.51
S  0.4909  0.3371  0.5851  4 O 1.48-1.51
S  0.0220  0.3738  0.9164  4 O 1.47-1.52
S  0.6399  0.0066  0.2525  4 O 1.48-1.49
S  0.8085  0.9642  0.4217  4 O 1.47-1.49
O  0.0898  0.1723  0.0901  1 Si 1.70, 1 Ti 1.81
O  0.4053  0.0015  0.6945  1 S 1.45
O  0.4134  0.3055  0.2496  1 Si 1.61
O  0.9945  0.1941  0.2986  1 S 1.47
O  0.5969  0.0170  0.3059  1 S 1.49
O  0.3991  0.0094  0.8003  1 S 1.49
O  0.5806  0.1577  0.6949  1 Si 1.68, 1 Ti 1.83
O  0.3611  0.5826  0.5286  1 Si 1.63
O  0.2442  0.3425  0.4183  1 S 1.50
O  0.8604  0.1457  0.0290  1 Si 1.61
O  0.0025  0.8169  0.8078  1 Si 1.67, 1 Ti 1.77
O  0.1417  0.8345  0.2473  1 S 1.50
O  0.3189  0.5006  0.9305  1 S 1.48
O  0.7362  0.3689  0.1348  1 Si 1.62
O  0.2675  0.7101  0.2505  1 Si 1.62
O  0.7426  0.1712  0.5292  1 Si 1.66, 1 Ti 1.84
O  0.5049  0.1893  0.5899  1 S 1.48
O  0.5766  0.1717  0.4116  1 Si 1.64
O  0.0927  0.1884  0.6993  1 S 1.48
O  0.5763  0.4971  0.5765  1 S 1.51
O  0.2377  0.1094  0.6337  1 Si 1.61
O  0.6004  0.1978  0.8115  1 Si 1.64
O  0.4876  0.7867  0.7992  1 S 1.47
O  0.0871  0.9940  0.1983  1 S 1.48
O  0.5827  0.4854  0.2489  1 Si 1.63
O  0.0799  0.0132  0.5922  1 Si 1.65
O  0.5709  0.6615  0.0711  1 S 1.51
O  0.5884  0.5058  0.9677  1 Si 1.67, 1 Ti 1.84
O  0.7360  0.3110  0.7459  1 Si 1.60
O  0.3494  0.1631  0.7448  1 S 1.50
O  0.6699  0.8668  0.9714  1 S 1.46
O  0.5882  0.9719  0.9212  1 S 1.51
O  0.4526  0.3633  0.6380  1 S 1.48
O  0.2272  0.2957  0.7520  1 S 1.48
O  0.5139  0.8262  0.4154  1 S 1.48
O  0.7743  0.7004  0.2438  1 S 1.48
O  0.6463  0.8475  0.2544  1 S 1.49
O  0.8635  0.1784  0.7507  1 Si 1.62
O  0.4241  0.5347  0.0338  1 S 1.47
O  0.5737  0.6769  0.4667  1 S 1.50
O  0.5050  0.1890  0.1922  1 Si 1.66, 1 Ti 1.78
O  0.6520  0.4752  0.4721  1 Si 1.66
O  0.2382  0.3902  0.1413  1 Si 1.60
O  0.8197  0.1376  0.4292  1 S 1.48
O  0.9245  0.3168  0.5327  1 S 1.47
O  0.2758  0.8610  0.4706  1 S 1.47
O  0.0709  0.4800  0.5697  1 S 1.52
O  0.9078  0.8039  0.5850  1 S 1.49
O  0.7751  0.6922  0.9719  1 S 1.47
O  0.0762  0.6589  0.0777  1 S 1.50
O  0.2481  0.6727  0.5684  1 Si 1.67, 1 Ti 1.86
O  0.2137  0.1348  0.5204  1 Si 1.63
O  0.6572  0.4860  0.0709  1 Si 1.67, 1 Ti 1.82
O  0.2273  0.1459  0.2447  1 S 1.47
O  0.0781  0.4602  0.2441  1 S 1.50
O  0.7421  0.1395  0.9187  1 S 1.51
O  0.5923  0.0104  0.5874  1 Si 1.67, 1 Ti 1.85
O  0.4076  0.0122  0.0863  1 S 1.50
O  0.6377  0.4629  0.7425  1 Si 1.64
O  0.1529  0.8282  0.9731  1 Si 1.68, 1 Ti 1.84
O  0.8949  0.9801  0.4216  1 S 1.49
O  0.9023  0.8313  0.9131  1 S 1.50
O  0.7549  0.6563  0.5690  1 S 1.51
O  0.1681  0.4654  0.4703  1 S 1.45
O  0.5449  0.4669  0.8561  1 Si 1.63
O  0.7691  0.8284  0.7517  1 Si 1.61
O  0.0477  0.6262  0.3534  1 Si 1.65
O  0.9038  0.7939  0.2992  1 S 1.49
O  0.5926  0.9971  0.1992  1 S 1.48
O  0.7630  0.6448  0.8679  1 S 1.48
O  0.3277  0.1380  0.4223  1 S 1.49
O  0.0018  0.1916  0.1934  1 S 1.49
O  0.9541  0.3711  0.6361  1 S 1.49
O  0.4029  0.9766  0.4119  1 S 1.49
O  0.0055  0.8227  0.0942  1 S 1.50
O  0.7421  0.0830  0.6386  1 Si 1.59
O  0.8275  0.5202  0.9237  1 S 1.49
O  0.4246  0.5272  0.7440  1 S 1.50
O  0.2548  0.8529  0.0707  1 S 1.50
O  0.9529  0.5425  0.1400  1 S 1.48
O  0.0636  0.4684  0.8625  1 S 1.48
O  0.5797  0.1486  0.0931  1 Si 1.65
O  0.0759  0.9797  0.9134  1 Si 1.64
O  0.0916  0.6751  0.4655  1 Si 1.66
O  0.0081  0.8244  0.6919  1 Si 1.66, 1 Ti 1.77
O  0.4199  0.8336  0.3084  1 Si 1.68, 1 Ti 1.86
O  0.7135  0.2925  0.0209  1 Si 1.62
O  0.0157  0.8319  0.4206  1 Si 1.66
O  0.6880  0.4743  0.3606  1 Si 1.61
O  0.9163  0.9933  0.6927  1 Si 1.67, 1 Ti 1.83
O  0.3138  0.0998  0.1332  1 S 1.47
O  0.7663  0.8984  0.3654  1 S 1.48
O  0.3430  0.1409  0.0296  1 S 1.48
O  0.2657  0.6322  0.8666  1 S 1.48
O  0.4368  0.3106  0.5341  1 S 1.48
O  0.8435  0.5464  0.5280  1 S 1.49
O  0.7473  0.3424  0.4327  1 Si 1.67, 1 Ti 1.82
O  0.0972  0.1764  0.8061  1 S 1.49
O  0.4152  0.8353  0.1924  1 Si 1.66, 1 Ti 1.85
O  0.7596  0.8456  0.4691  1 S 1.47
O  0.3079  0.5297  0.6391  1 Si 1.62
O  0.5005  0.1853  0.3080  1 Si 1.67, 1 Ti 1.78
O  0.1458  0.4447  0.7548  1 S 1.49
O  0.8523  0.5416  0.2438  1 S 1.49
O  0.4170  0.8475  0.5976  1 Si 1.65
O  0.4897  0.8049  0.0857  1 S 1.48
O  0.5129  0.1946  0.9244  1 Si 1.65
O  0.6690  0.8350  0.5605  1 Si 1.66, 1 Ti 1.85
O  0.2578  0.6697  0.9701  1 S 1.49
O  0.2401  0.3110  0.0306  1 Si 1.64
O  0.8101  0.0902  0.1406  1 Si 1.61
O  0.9214  0.4862  0.4337  1 Si 1.65
O  0.2467  0.1508  0.9336  1 Si 1.66, 1 Ti 1.80
O  0.7272  0.1595  0.2521  1 S 1.49
O  0.3588  0.5431  0.2508  1 Si 1.64
O  0.9248  0.3152  0.2433  1 S 1.49
O  0.0868  0.6867  0.7485  1 Si 1.63
O  0.4356  0.5122  0.4193  1 S 1.49
O  0.1683  0.5033  0.0647  1 Si 1.65
O  0.1870  0.8998  0.8616  1 Si 1.61
O  0.9156  0.9914  0.0965  1 Si 1.70, 1 Ti 1.77
O  0.9354  0.5680  0.0365  1 S 1.47
O  0.1563  0.8298  0.5714  1 Si 1.67, 1 Ti 1.81
O  0.9180  0.5236  0.7486  1 Si 1.59
O  0.4970  0.8015  0.6931  1 S 1.48
O  0.1019  0.0110  0.3034  1 S 1.49
O  0.0759  0.4718  0.9679  1 S 1.52
O  0.2637  0.8834  0.3666  1 S 1.49
O  0.9099  0.8163  0.1943  1 S 1.46
O  0.0908  0.1986  0.4184  1 S 1.51
O  0.3939  0.8097  0.9233  1 S 1.48
O  0.8140  0.5285  0.6317  1 S 1.46
O  0.7473  0.8250  0.0700  1 Si 1.63
O  0.9381  0.3635  0.9213  1 S 1.48
O  0.5777  0.7017  0.7462  1 S 1.49
O  0.1748  0.4625  0.3645  1 S 1.48
O  0.2706  0.8483  0.7440  1 S 1.49
O  0.5617  0.6571  0.3613  1 S 1.49
O  0.4199  0.3544  0.9365  1 Si 1.66
O  0.6721  0.8767  0.8655  1 S 1.47
O  0.9887  0.1748  0.5845  1 S 1.48
O  0.4537  0.5385  0.1368  1 S 1.50
O  0.0151  0.2037  0.9163  1 S 1.47
O  0.9211  0.0046  0.8086  1 Si 1.69, 1 Ti 1.82
Ti  0.8244  0.3363  0.4817  3 O 1.82-1.94
Ti  0.9984  0.9792  0.6506  3 O 1.77-1.91
Ti  0.5134  0.0021  0.6405  3 O 1.83-1.88
Ti  0.6611  0.6553  0.5172  4 O 1.85-2.05
Ti  0.1620  0.6646  0.0152  4 O 1.84-2.00
Ti  0.4969  0.0171  0.1495  3 O 1.78-1.89
Ti  0.3237  0.3131  0.9810  3 O 1.80-1.89
Ti  0.0048  0.0197  0.1367  2 O 1.77-1.81
Ti  0.6616  0.6503  0.0230  4 O 1.82-2.02
Ti  0.9988  0.9767  0.8502  2 O 1.77-1.82
Ti  0.1614  0.6729  0.5255  4 O 1.81-1.97
Ti  0.4988  0.0204  0.3513  3 O 1.78-1.97
Na  0.6730  0.6554  0.1590  5 O 2.48-2.77
Na  0.0015  0.3819  0.7479  4 O 2.24-2.41
Na  0.9972  0.6256  0.2568  5 O 2.34-2.57
Na  0.1653  0.0106  0.4334  2 O 2.26-2.38
Na  0.3297  0.3212  0.8411  6 O 2.62-2.87
Na  0.8248  0.3329  0.3464  4 O 2.46-2.76
Na  0.3428  0.3497  0.3291  3 O 2.38-2.63
Na  0.0015  0.0119  0.9926  3 O 2.37-2.52
Na  0.5015  0.0078  0.0063  6 O 2.42-2.69
Na  0.6860  0.6938  0.6698  2 O 2.35-2.47
Na  0.1909  0.6600  0.1618  3 O 2.39-2.60
Na  0.8273  0.3280  0.8207  3 O 2.35-2.39
Na  0.6645  0.3090  0.9206  5 O 2.40-2.63
Na  0.4994  0.9830  0.5003  6 O 2.51-2.75
Na  0.0003  0.9962  0.5104  3 O 2.34-2.43
Na  0.4971  0.3602  0.7540  3 O 2.24-2.45
Na  0.1762  0.6958  0.6615  4 O 2.47-2.57
Na  0.5011  0.6272  0.2501  4 O 2.29-2.51
Si  0.0021  0.7076  0.7492  4 O 1.59-1.67
Si  0.3339  0.6569  0.5838  4 O 1.62-1.67
Si  0.8621  0.9967  0.7509  4 O 1.61-1.69
Si  0.8292  0.0144  0.0829  4 O 1.61-1.70
Si  0.3613  0.7276  0.2508  4 O 1.62-1.68
Si  0.1880  0.3482  0.0813  4 O 1.60-1.70
Si  0.1612  0.9614  0.9196  4 O 1.61-1.68
Si  0.4992  0.2931  0.2496  4 O 1.61-1.67
Si  0.6732  0.3204  0.0799  4 O 1.62-1.67
Si  0.0171  0.6484  0.4184  4 O 1.65-1.66
Si  0.6415  0.2847  0.7487  4 O 1.60-1.68
Si  0.6619  0.3616  0.4192  4 O 1.61-1.67
Si  0.6888  0.0285  0.5804  4 O 1.59-1.67
Si  0.1734  0.0290  0.5801  4 O 1.61-1.67
Si  0.5152  0.3799  0.9197  4 O 1.63-1.67
Y  0.3310  0.3453  0.1842  6 O 2.15-2.39
Y  0.3347  0.3504  0.4916  3 O 2.08-2.27
Y  0.9941  0.9891  0.3605  6 O 2.16-2.33
Y  0.4978  0.0051  0.8574  5 O 2.09-2.33
Y  0.6660  0.6582  0.8100  6 O 2.18-2.35
Y  0.1692  0.6646  0.3138  6 O 2.17-2.39
Y  0.3220  0.3347  0.6776  3 O 2.09-2.32
Y  0.8202  0.3112  0.1779  3 O 2.09-2.31
Y  0.1740  0.6921  0.8139  5 O 2.08-2.33
Y  0.8258  0.3136  0.6863  4 O 2.12-2.30
Y  0.6725  0.6543  0.3139  5 O 2.08-2.33
Y  0.8328  0.3219  0.9891  5 O 2.10-2.34